NdSmMn4Ge4 | PBE | relaxed

a = 3.9981 Å, b = 3.9981 Å, c = 10.9293 Å
α = 90.00°, β = 90.00°, γ = 90.00°
Closest atoms and distances in Å follow each position.
Fractional positions:
1 Mn 0.5000 0.0000 0.2509  4 Ge 2.43
2 Ge 0.5000 0.5000 0.8762  4 Mn 2.43, 1 Ge 2.71
3 Ge 0.5000 0.5000 0.1238  4 Mn 2.43, 1 Ge 2.71
4 Sm 0.5000 0.5000 0.5000  8 Ge 3.13, 8 Mn 3.38
5 Nd 0.0000 0.0000 0.0000  8 Ge 3.13, 8 Mn 3.39
6 Mn 0.0000 0.5000 0.2509  4 Ge 2.43
7 Mn 0.0000 0.5000 0.7491  4 Ge 2.43
8 Ge 0.0000 0.0000 0.3779  4 Mn 2.43, 1 Ge 2.67
9 Mn 0.5000 0.0000 0.7491  4 Ge 2.43
10 Ge 0.0000 0.0000 0.6221  4 Mn 2.43, 1 Ge 2.67

Computed properties:
Total DFT energy (no corrections)   -6.9360 eV/atom
Total moment   7.67 μB/cell



Al4Cu15 | PBE | relaxed

a = 3.6088 Å, b = 3.6088 Å, c = 18.4562 Å
α = 90.00°, β = 90.00°, γ = 90.00°
Closest atoms and distances in Å follow each position.
Fractional positions:
1 Cu 0.5000 0.5000 0.6034  4 Al 2.55, 8 Cu 2.63
2 Cu 0.0000 0.5000 0.0900  8 Cu 2.45-2.58, 2 Al 2.59
3 Cu 0.0000 0.5000 0.9100  8 Cu 2.45-2.58, 2 Al 2.59
4 Cu 0.5000 0.0000 0.5000  8 Cu 2.55-2.63, 4 Al 2.63
5 Al 0.0000 0.0000 0.6033  12 Cu 2.55-2.63
6 Cu 0.0000 0.5000 0.7073  8 Cu 2.55-2.63, 4 Al 2.60-2.63
7 Cu 0.5000 0.5000 0.0000  8 Cu 2.45
8 Al 0.0000 0.0000 0.3967  12 Cu 2.55-2.63
9 Cu 0.5000 0.5000 0.1896  4 Al 2.55, 8 Cu 2.58-2.62
10 Al 0.0000 0.0000 0.1910  12 Cu 2.55-2.60
11 Cu 0.5000 0.0000 0.0900  8 Cu 2.45-2.58, 2 Al 2.59
12 Cu 0.5000 0.5000 0.3966  4 Al 2.55, 8 Cu 2.63
13 Al 0.0000 0.0000 0.8090  12 Cu 2.55-2.60
14 Cu 0.0000 0.5000 0.2927  8 Cu 2.55-2.63, 4 Al 2.60-2.63
15 Cu 0.5000 0.0000 0.2927  8 Cu 2.55-2.63, 4 Al 2.60-2.63
16 Cu 0.5000 0.0000 0.7073  8 Cu 2.55-2.63, 4 Al 2.60-2.63
17 Cu 0.0000 0.5000 0.5000  8 Cu 2.55-2.63, 4 Al 2.63
18 Cu 0.5000 0.0000 0.9100  8 Cu 2.45-2.58, 2 Al 2.59
19 Cu 0.5000 0.5000 0.8104  4 Al 2.55, 8 Cu 2.58-2.62

Computed properties:
Total DFT energy (no corrections)   -4.1225 eV/atom
Total moment   0.01 μB/cell



Nd5Ge3 | PBE | relaxed

a = 8.8525 Å, b = 8.8525 Å, c = 6.7353 Å
α = 90.00°, β = 90.00°, γ = 120.00°
Closest atoms and distances in Å follow each position.
Fractional positions:
1 Nd 0.3333 0.6667 0.0000  6 Ge 3.20, 2 Nd 3.37
2 Ge 0.3928 0.3928 0.2500  7 Nd 3.04-3.21
3 Ge 0.6072 0.6072 0.7500  7 Nd 3.04-3.21
4 Nd 0.7550 0.7550 0.2500  3 Ge 3.04-3.21
5 Nd 0.2450 0.0000 0.2500  3 Ge 3.04-3.21
6 Ge 0.6072 0.0000 0.2500  7 Nd 3.04-3.21
7 Nd 0.0000 0.7550 0.7500  3 Ge 3.04-3.21
8 Nd 0.3333 0.6667 0.5000  6 Ge 3.20, 2 Nd 3.37
9 Ge 0.0000 0.6072 0.2500  7 Nd 3.04-3.21
10 Nd 0.0000 0.2450 0.2500  3 Ge 3.04-3.21
11 Ge 0.0000 0.3928 0.7500  7 Nd 3.04-3.21
12 Nd 0.6667 0.3333 0.5000  6 Ge 3.20, 2 Nd 3.37
13 Nd 0.2450 0.2450 0.7500  3 Ge 3.04-3.21
14 Nd 0.7550 0.0000 0.7500  3 Ge 3.04-3.21
15 Ge 0.3928 0.0000 0.7500  7 Nd 3.04-3.21
16 Nd 0.6667 0.3333 0.0000  6 Ge 3.20, 2 Nd 3.37

Computed properties:
Energy relative to the lowest polymorph listed for this composition   0.000 eV per atom
Total DFT energy (no corrections)   -5.4160 eV/atom



Number 1: energy relative to the elements -473.3 meV/atom. Number 2: energy relative to the elements -97.8 meV/atom. Number 3: energy relative to the elements -702.2 meV/atom.